The following is a DFT calculation (PBE with a Hubbard U) of a relaxed MgCrH10O9 crystal.

Computed properties:
Calculated total energy in eV/atom: -5.415

Geometry as CIF:
```
data_MgCrH10O9
_cell_length_a 6.248
_cell_length_b 6.457
_cell_length_c 11.021
_cell_angle_alpha 75.24
_cell_angle_beta 81.04
_cell_angle_gamma 70.21
_space_group_name_H-M_alt 'P -1'
_space_group_IT_number 2
loop_
_space_group_symop_operation_xyz
'x,y,z'
'-x,-y,-z'
loop_
_atom_site_label
_atom_site_type_symbol
_atom_site_fract_x
_atom_site_fract_y
_atom_site_fract_z
Mg1 Mg 0.000 0.000 0.000
Mg2 Mg 0.000 0.500 0.500
Cr1 Cr 0.352 0.022 0.710
H1 H 0.097 0.677 0.206
H2 H 0.102 0.802 0.594
H3 H 0.168 0.140 0.380
H4 H 0.233 0.279 0.007
H5 H 0.251 0.103 0.140
H6 H 0.294 0.430 0.802
H7 H 0.304 0.607 0.874
H8 H 0.336 0.659 0.128
H9 H 0.339 0.680 0.372
H10 H 0.437 0.408 0.394
O1 O 0.031 0.239 0.418
O2 O 0.159 0.176 0.067
O3 O 0.169 0.705 0.120
O4 O 0.174 0.279 0.660
O5 O 0.267 0.922 0.858
O6 O 0.300 0.539 0.404
O7 O 0.353 0.847 0.623
O8 O 0.357 0.444 0.874
O9 O 0.384 0.962 0.295
```